1.
Compound: MgNi2P2O8
Source: the Materials Project database
Functional: PBE+U
Structure: optimized geometry

Lattice parameters (Å, degrees): 6.3040 4.9064 4.9064 66.83 90.00 90.00
Fractional positions:
Mg  0.0000  0.0000  0.0000
Ni  0.2659  0.6714  0.6714
Ni  0.7341  0.6714  0.6714
P  0.0000  0.3326  0.3326
P  0.5000  0.0319  0.0319
O  0.0000  0.4383  0.9783
O  0.0000  0.9783  0.4383
O  0.2002  0.4334  0.4334
O  0.2972  0.9231  0.9231
O  0.5000  0.3764  0.9042
O  0.5000  0.9042  0.3764
O  0.7028  0.9231  0.9231
O  0.7998  0.4334  0.4334


2.
Compound: MgNi2P2O10
Source: the Materials Project database
Functional: PBE+U
Structure: optimized geometry

Lattice parameters (Å, degrees): 9.9544 8.9612 6.5474 78.16 61.77 40.07
Fractional positions:
Mg  0.1250  0.1250  0.1250
Mg  0.8750  0.8750  0.8750
Ni  0.0000  0.5000  0.5000
Ni  0.5000  0.0000  0.5000
Ni  0.5000  0.5000  0.0000
Ni  0.5000  0.5000  0.5000
P  0.0805  0.0805  0.6695
P  0.3305  0.3305  0.9195
P  0.6695  0.6695  0.0805
P  0.9195  0.9195  0.3305
O  0.0548  0.2149  0.4706
O  0.1113  0.4322  0.1661
O  0.1661  0.7904  0.1113
O  0.2096  0.8339  0.5678
O  0.2149  0.0548  0.7597
O  0.2403  0.5294  0.7851
O  0.2973  0.2973  0.4527
O  0.4322  0.1113  0.7904
O  0.4527  0.4527  0.2973
O  0.4706  0.7597  0.0548
O  0.5294  0.2403  0.9452
O  0.5473  0.5473  0.7027
O  0.5678  0.8887  0.2096
O  0.7027  0.7027  0.5473
O  0.7597  0.4706  0.2149
O  0.7851  0.9452  0.2403
O  0.7904  0.1661  0.4322
O  0.8339  0.2096  0.8887
O  0.8887  0.5678  0.8339
O  0.9452  0.7851  0.5294


3.
Compound: MgNiP4O12
Source: the Materials Project database
Functional: PBE+U
Structure: optimized geometry

Lattice parameters (Å, degrees): 7.2558 7.2558 10.0235 112.87 112.87 70.48
Fractional positions:
Mg  0.0473  0.9527  0.7500
Mg  0.9527  0.0473  0.2500
Ni  0.0000  0.5000  0.5000
Ni  0.5000  0.0000  0.0000
P  0.2508  0.7312  0.0209
P  0.2688  0.7492  0.4791
P  0.2935  0.3141  0.8026
P  0.3141  0.2935  0.3026
P  0.6859  0.7065  0.6974
P  0.7065  0.6859  0.1974
P  0.7312  0.2508  0.5209
P  0.7492  0.2688  0.9791
O  0.0883  0.8487  0.0947
O  0.1237  0.2805  0.3248
O  0.1513  0.9117  0.4053
O  0.1855  0.7148  0.5835
O  0.1920  0.3447  0.6509
O  0.2086  0.5045  0.9309
O  0.2805  0.1237  0.8248
O  0.2852  0.8145  0.9165
O  0.3167  0.5309  0.3486
O  0.3447  0.1920  0.1509
O  0.4691  0.6833  0.1514
O  0.4955  0.7914  0.5691
O  0.5045  0.2086  0.4309
O  0.5309  0.3167  0.8486
O  0.6553  0.8080  0.8491
O  0.6833  0.4691  0.6514
O  0.7148  0.1855  0.0835
O  0.7195  0.8763  0.1752
O  0.7914  0.4955  0.0691
O  0.8080  0.6553  0.3491
O  0.8145  0.2852  0.4165
O  0.8487  0.0883  0.5947
O  0.8763  0.7195  0.6752
O  0.9117  0.1513  0.9053


4.
Compound: MgNiP3O9
Source: the Materials Project database
Functional: PBE+U
Structure: optimized geometry

Lattice parameters (Å, degrees): 6.3467 6.3467 6.3467 106.78 106.78 106.78
Fractional positions:
Mg  0.0000  0.0000  0.0000
Ni  0.4002  0.4002  0.4002
P  0.3293  0.8889  0.4645
P  0.4645  0.3293  0.8889
P  0.8889  0.4645  0.3293
O  0.0166  0.3043  0.2622
O  0.0844  0.7384  0.4827
O  0.2622  0.0167  0.3043
O  0.3043  0.2622  0.0166
O  0.4074  0.4605  0.7345
O  0.4605  0.7345  0.4074
O  0.4827  0.0844  0.7384
O  0.7345  0.4074  0.4605
O  0.7384  0.4827  0.0844


5.
Compound: MgNi3P4O14
Source: the Materials Project database
Functional: PBE+U
Structure: optimized geometry

Lattice parameters (Å, degrees): 7.2653 7.4976 9.4861 90.00 112.36 90.00
Fractional positions:
Mg  0.0000  0.0000  0.0000
Mg  0.0000  0.5000  0.5000
Ni  0.3145  0.1284  0.4770
Ni  0.3145  0.3716  0.9770
Ni  0.5000  0.0000  0.0000
Ni  0.5000  0.5000  0.5000
Ni  0.6855  0.6284  0.0230
Ni  0.6855  0.8716  0.5230
P  0.0886  0.0770  0.7042
P  0.0886  0.4230  0.2042
P  0.3690  0.7067  0.1872
P  0.3690  0.7933  0.6872
P  0.6310  0.2067  0.3128
P  0.6310  0.2933  0.8128
P  0.9114  0.5770  0.7958
P  0.9114  0.9230  0.2958
O  0.1146  0.2130  0.5932
O  0.1146  0.2870  0.0932
O  0.1197  0.5307  0.8068
O  0.1197  0.9693  0.3068
O  0.1650  0.6130  0.1705
O  0.1650  0.8870  0.6705
O  0.2199  0.1213  0.8741
O  0.2199  0.3787  0.3741
O  0.3064  0.6173  0.5994
O  0.3064  0.8827  0.0994
O  0.4682  0.5824  0.1091
O  0.4682  0.9176  0.6091
O  0.4838  0.7152  0.3600
O  0.4838  0.7848  0.8600
O  0.5162  0.2152  0.1400
O  0.5162  0.2848  0.6400
O  0.5318  0.0824  0.3909
O  0.5318  0.4176  0.8909
O  0.6936  0.1173  0.9006
O  0.6936  0.3827  0.4006
O  0.7801  0.6213  0.6259
O  0.7801  0.8787  0.1259
O  0.8350  0.1130  0.3295
O  0.8350  0.3870  0.8295
O  0.8803  0.0307  0.6932
O  0.8803  0.4693  0.1932
O  0.8854  0.7130  0.9068
O  0.8854  0.7870  0.4068


6.
Compound: MgNi2P2O8
Source: the Materials Project database
Functional: PBE+U
Structure: optimized geometry

Lattice parameters (Å, degrees): 8.8825 8.8825 16.3474 118.82 118.82 32.29
Fractional positions:
Mg  0.0570  0.6443  0.8734
Mg  0.3557  0.9430  0.6266
Mg  0.6443  0.0570  0.3734
Mg  0.9430  0.3557  0.1266
Ni  0.0000  0.5000  0.0000
Ni  0.1035  0.7004  0.5307
Ni  0.1098  0.8902  0.7500
Ni  0.2996  0.8965  0.9693
Ni  0.5000  0.0000  0.5000
Ni  0.7004  0.1035  0.0307
Ni  0.8902  0.1098  0.2500
Ni  0.8965  0.2996  0.4693
P  0.0108  0.5688  0.6419
P  0.2773  0.6781  0.3866
P  0.3219  0.7227  0.1134
P  0.4312  0.9892  0.8581
P  0.5688  0.0108  0.1419
P  0.6781  0.2773  0.8866
P  0.7227  0.3219  0.6134
P  0.9892  0.4312  0.3581
O  0.0918  0.7256  0.4135
O  0.0928  0.5033  0.7354
O  0.1084  0.6543  0.6424
O  0.1360  0.7636  0.2900
O  0.1402  0.7050  0.0371
O  0.1620  0.2930  0.5624
O  0.2050  0.3137  0.8966
O  0.2364  0.8640  0.2100
O  0.2744  0.9082  0.0865
O  0.2930  0.1620  0.0624
O  0.2950  0.8598  0.4629
O  0.3137  0.2050  0.3966
O  0.3457  0.8916  0.8576
O  0.3588  0.5895  0.8893
O  0.4105  0.6412  0.6107
O  0.4967  0.9072  0.7646
O  0.5033  0.0928  0.2354
O  0.5895  0.3588  0.3893
O  0.6412  0.4105  0.1107
O  0.6543  0.1084  0.1424
O  0.6863  0.7950  0.6034
O  0.7050  0.1402  0.5371
O  0.7070  0.8380  0.9376
O  0.7256  0.0918  0.9135
O  0.7636  0.1360  0.7900
O  0.7950  0.6863  0.1034
O  0.8380  0.7070  0.4376
O  0.8598  0.2950  0.9629
O  0.8640  0.2364  0.7100
O  0.8916  0.3457  0.3576
O  0.9072  0.4967  0.2646
O  0.9082  0.2744  0.5865


E_form readings, ordered: -2.31 -1.87 -2.62 -2.31 -2.37 -2.37 eV per atom
M_tot readings, ordered: 0.31 0.27 0.11 0.07 0.27 0.31 μB/atom